1.
A relaxed Al3PH29S2O28 crystal, computed with GGA-PBE.

Computed properties:
- M_tot (μB per formula unit) = 1.00
- formation energy (eV per atom) = -1.676

Cell: 10.6049 11.0918 11.2750 Å, 85.50 64.91 74.72°
Closest atoms and distances in Å follow each position.
Fractional coordinates of all 126 atoms:
Al 0.7456 0.3832 0.9730  6 O 1.85-1.95
Al 0.2544 0.6168 0.0270  6 O 1.85-1.95
Al 0.7303 0.3799 0.6702  6 O 1.82-1.99
Al 0.2697 0.6201 0.3298  6 O 1.82-1.99
Al 0.4461 0.0591 0.9058  6 O 1.87-1.98
Al 0.5539 0.9409 0.0942  6 O 1.87-1.98
P 0.4821 0.3387 0.9418  4 O 1.53-1.57
P 0.5179 0.6613 0.0582  4 O 1.53-1.57
H 0.9134 0.3738 0.7441  1 O 0.98
H 0.0866 0.6262 0.2559  1 O 0.98
H 0.1024 0.8028 0.9516  1 O 0.99
H 0.8976 0.1972 0.0484  1 O 0.99
H 0.9392 0.1642 0.8978  1 O 1.00
H 0.0608 0.8358 0.1022  1 O 1.00
H 0.3046 0.5481 0.7879  1 O 0.99
H 0.6954 0.4519 0.2121  1 O 0.99
H 0.3442 0.6794 0.7757  1 O 1.00
H 0.6558 0.3206 0.2243  1 O 1.00
H 0.0066 0.4084 0.9029  1 O 0.99
H 0.9934 0.5916 0.0971  1 O 0.99
H 0.8961 0.5433 0.9154  1 O 1.00
H 0.1039 0.4567 0.0846  1 O 1.00
H 0.8718 0.4959 0.4733  1 O 1.01
H 0.1282 0.5041 0.5267  1 O 1.01
H 0.9867 0.3664 0.4751  1 O 1.01
H 0.0133 0.6336 0.5249  1 O 1.01
H 0.8289 0.1695 0.5338  1 O 0.99
H 0.1711 0.8305 0.4662  1 O 0.99
H 0.8520 0.1364 0.6661  1 O 1.00
H 0.1480 0.8636 0.3339  1 O 1.00
H 0.7303 0.6154 0.6742  1 O 1.02
H 0.2697 0.3846 0.3258  1 O 1.02
H 0.5901 0.5864 0.7921  1 O 0.98
H 0.4099 0.4136 0.2079  1 O 0.98
H 0.5310 0.4026 0.5977  1 O 0.99
H 0.4690 0.5974 0.4023  1 O 0.99
H 0.6575 0.4425 0.4746  1 O 1.00
H 0.3425 0.5575 0.5254  1 O 1.00
H 0.7181 0.9930 0.8606  1 O 0.98
H 0.2819 0.0070 0.1394  1 O 0.98
H 0.4783 0.1478 0.6822  1 O 0.99
H 0.5217 0.8522 0.3178  1 O 0.99
H 0.6084 0.0186 0.6570  1 O 1.04
H 0.3916 0.9814 0.3430  1 O 1.04
H 0.2331 0.2054 0.8696  1 O 1.02
H 0.7669 0.7946 0.1304  1 O 1.02
H 0.2160 0.0662 0.8756  1 O 0.98
H 0.7840 0.9338 0.1244  1 O 0.98
H 0.4331 0.8719 0.7722  1 O 0.99
H 0.5669 0.1281 0.2278  1 O 0.99
H 0.4236 0.8269 0.9136  1 O 1.00
H 0.5764 0.1731 0.0864  1 O 1.00
H 0.9322 0.7451 0.8550  1 O 0.99
H 0.0678 0.2549 0.1450  1 O 0.99
H 0.7722 0.7280 0.9249  1 O 0.99
H 0.2278 0.2720 0.0751  1 O 0.99
H 0.7624 0.9551 0.4763  1 O 0.99
H 0.2376 0.0449 0.5237  1 O 0.99
H 0.6805 0.1683 0.3590  1 O 0.99
H 0.3195 0.8317 0.6410  1 O 0.99
H 0.5143 0.2346 0.4200  1 O 0.99
H 0.4857 0.7654 0.5800  1 O 0.99
H 0.8548 0.7091 0.7132  1 O 1.00
H 0.1452 0.2909 0.2868  1 O 1.00
H 0.8067 0.7811 0.6004  1 O 1.01
H 0.1933 0.2189 0.3996  1 O 1.01
S 0.0422 0.9550 0.7467  4 O 1.48-1.51
S 0.9578 0.0450 0.2533  4 O 1.48-1.51
S 0.2591 0.3562 0.6711  4 O 1.48-1.52
S 0.7409 0.6438 0.3289  4 O 1.48-1.52
O 0.4147 0.2273 0.9595  1 P 1.54
O 0.5853 0.7727 0.0405  1 P 1.54
O 0.5588 0.3628 0.7962  1 P 1.53
O 0.4412 0.6372 0.2038  1 P 1.53
O 0.5921 0.3081 0.0057  1 P 1.57, 1 H 1.70
O 0.4079 0.6919 0.9943  1 P 1.57, 1 H 1.70
O 0.6382 0.5465 0.9827  1 P 1.54
O 0.3618 0.4535 0.0173  1 P 1.54
O 0.8156 0.3632 0.7878  1 H 0.98
O 0.1844 0.6368 0.2122  1 H 0.98
O 0.8691 0.2214 0.9749  2 H 0.99-1.00
O 0.1309 0.7786 0.0251  2 H 0.99-1.00
O 0.3071 0.6154 0.8392  2 H 0.99-1.00
O 0.6929 0.3846 0.1608  2 H 0.99-1.00
O 0.9038 0.4554 0.9463  2 H 0.99-1.00
O 0.0962 0.5446 0.0537  2 H 0.99-1.00
O 0.8870 0.4214 0.5271  2 H 1.01
O 0.1130 0.5786 0.4729  2 H 1.01
O 0.8238 0.2059 0.6135  2 H 0.99-1.00
O 0.1762 0.7941 0.3865  2 H 0.99-1.00
O 0.6563 0.5644 0.7000  2 H 0.98-1.02
O 0.3437 0.4356 0.3000  2 H 0.98-1.02
O 0.6371 0.3872 0.5514  2 H 0.99-1.00
O 0.3629 0.6128 0.4486  2 H 0.99-1.00
O 0.6192 0.9937 0.9216  1 H 0.98
O 0.3808 0.0063 0.0784  1 H 0.98
O 0.5350 0.0901 0.7241  2 H 0.99-1.04
O 0.4650 0.9099 0.2759  2 H 0.99-1.04
O 0.2565 0.1201 0.9064  2 H 0.98-1.02
O 0.7435 0.8799 0.0936  2 H 0.98-1.02
O 0.4409 0.8963 0.8512  2 H 0.99-1.00
O 0.5591 0.1037 0.1488  2 H 0.99-1.00
O 0.9016 0.0018 0.7390  1 S 1.48
O 0.0984 0.9982 0.2610  1 S 1.48
O 0.0409 0.8444 0.8315  1 S 1.49
O 0.9591 0.1556 0.1685  1 S 1.49
O 0.0778 0.0549 0.7984  1 S 1.49, 1 H 1.66
O 0.9222 0.9451 0.2016  1 S 1.49, 1 H 1.66
O 0.1607 0.9121 0.6121  1 S 1.51
O 0.8393 0.0879 0.3879  1 S 1.51
O 0.1895 0.3357 0.8147  1 S 1.49, 1 H 1.56
O 0.8105 0.6643 0.1853  1 S 1.49, 1 H 1.56
O 0.3304 0.4623 0.6522  1 S 1.52, 1 H 1.69
O 0.6696 0.5377 0.3478  1 S 1.52, 1 H 1.69
O 0.3732 0.2423 0.6016  1 S 1.49
O 0.6268 0.7577 0.3984  1 S 1.49
O 0.1473 0.3902 0.6200  1 S 1.48, 1 H 1.61
O 0.8527 0.6098 0.3800  1 S 1.48, 1 H 1.61
O 0.8708 0.6897 0.8582  2 H 0.99
O 0.1292 0.3103 0.1418  2 H 0.99
O 0.7220 0.9175 0.5620  1 H 0.99
O 0.2780 0.0825 0.4380  1 H 0.99
O 0.5994 0.2101 0.3357  2 H 0.99
O 0.4006 0.7899 0.6643  2 H 0.99
O 0.8490 0.6976 0.6285  2 H 1.00-1.01
O 0.1510 0.3024 0.3715  2 H 1.00-1.01

2.
A relaxed Tm2Al9Pd3 crystal, computed with GGA-PBE.

Computed properties:
- M_tot (μB per formula unit) = 0.01
- formation energy (eV per atom) = -0.673

Cell: 7.6303 7.6303 9.4367 Å, 90.00 90.00 119.75°
Closest atoms and distances in Å follow each position.
Fractional coordinates of all 28 atoms:
Tm 0.9943 0.6694 0.2500  11 Al 3.04-3.19
Tm 0.0057 0.3306 0.7500  11 Al 3.04-3.19
Tm 0.6694 0.9943 0.2500  11 Al 3.04-3.19
Tm 0.3306 0.0057 0.7500  11 Al 3.04-3.19
Al 0.1271 0.1271 0.2500  2 Pd 2.55, 6 Al 2.76-2.78
Al 0.8729 0.8729 0.7500  2 Pd 2.55, 6 Al 2.76-2.78
Al 0.9995 0.3342 0.0770  3 Pd 2.59-2.65, 3 Al 2.76-2.86
Al 0.0005 0.6658 0.9230  3 Pd 2.59-2.65, 3 Al 2.76-2.86
Al 0.0005 0.6658 0.5770  3 Pd 2.59-2.65, 3 Al 2.76-2.86
Al 0.3342 0.9995 0.4230  3 Pd 2.59-2.65, 3 Al 2.76-2.86
Al 0.9995 0.3342 0.4230  3 Pd 2.59-2.65, 3 Al 2.76-2.86
Al 0.6658 0.0005 0.5770  3 Pd 2.59-2.65, 3 Al 2.76-2.86
Al 0.6658 0.0005 0.9230  3 Pd 2.59-2.65, 3 Al 2.76-2.86
Al 0.3342 0.9995 0.0770  3 Pd 2.59-2.65, 3 Al 2.76-2.86
Al 0.3331 0.3331 0.5612  3 Pd 2.62-2.66, 5 Al 2.80-2.86
Al 0.6669 0.6669 0.4388  3 Pd 2.62-2.66, 5 Al 2.80-2.86
Al 0.6669 0.6669 0.0612  3 Pd 2.62-2.66, 5 Al 2.80-2.86
Al 0.3331 0.3331 0.9388  3 Pd 2.62-2.66, 5 Al 2.80-2.86
Al 0.3369 0.5460 0.2500  2 Pd 2.56, 6 Al 2.76-2.84
Al 0.6631 0.4540 0.7500  2 Pd 2.56, 6 Al 2.76-2.84
Al 0.5460 0.3369 0.2500  2 Pd 2.56, 6 Al 2.76-2.84
Al 0.4540 0.6631 0.7500  2 Pd 2.56, 6 Al 2.76-2.84
Pd 0.6715 0.3285 0.0000  8 Al 2.56-2.66
Pd 0.3285 0.6715 0.0000  8 Al 2.56-2.66
Pd 0.3285 0.6715 0.5000  8 Al 2.56-2.66
Pd 0.6715 0.3285 0.5000  8 Al 2.56-2.66
Pd 0.0000 0.0000 0.0000  8 Al 2.55-2.65
Pd 0.0000 0.0000 0.5000  8 Al 2.55-2.65

3.
A relaxed HfCrAgS4 crystal, computed with GGA-PBE.

Computed properties:
- M_tot (μB per formula unit) = 3.00
- formation energy (eV per atom) = -1.127
- excess energy over the best structure of this formula in the dataset (meV per atom) = 105.1

Cell: 11.3438 3.5985 13.0965 Å, 90.00 90.00 90.00°
Closest atoms and distances in Å follow each position.
Fractional coordinates of all 28 atoms:
Hf 0.9373 0.7500 0.8989  6 S 2.47-2.63
Hf 0.5627 0.2500 0.3989  6 S 2.47-2.63
Hf 0.0885 0.2500 0.5887  6 S 2.51-2.62
Hf 0.4115 0.7500 0.0887  6 S 2.51-2.62
Cr 0.0506 0.2500 0.1188  6 S 2.42-2.45
Cr 0.4494 0.7500 0.6188  6 S 2.42-2.45
Cr 0.9250 0.7500 0.4015  6 S 2.37-2.54
Cr 0.5750 0.2500 0.9015  6 S 2.37-2.54
Ag 0.2414 0.2500 0.3159  8 S 2.84-3.12
Ag 0.7560 0.7500 0.6703  7 S 2.83-3.00
Ag 0.2586 0.7500 0.8159  8 S 2.84-3.12
Ag 0.7440 0.2500 0.1703  7 S 2.83-3.00
S 0.0356 0.7500 0.7166  3 Hf 2.53-2.63
S 0.9679 0.2500 0.2894  3 Cr 2.37-2.42
S 0.4644 0.2500 0.2166  3 Hf 2.53-2.63
S 0.5321 0.7500 0.7894  3 Cr 2.37-2.42
S 0.0878 0.2500 0.9371  1 Cr 2.42, 2 Hf 2.53
S 0.9093 0.7500 0.0855  2 Cr 2.45, 1 Hf 2.47
S 0.4122 0.7500 0.4371  1 Cr 2.42, 2 Hf 2.53
S 0.5907 0.2500 0.5855  2 Cr 2.45, 1 Hf 2.47
S 0.1260 0.7500 0.4585  1 Cr 2.40, 2 Hf 2.52
S 0.8810 0.2500 0.5225  2 Cr 2.45, 1 Hf 2.51
S 0.3740 0.2500 0.9585  1 Cr 2.40, 2 Hf 2.52
S 0.6190 0.7500 0.0225  2 Cr 2.45, 1 Hf 2.51
S 0.1921 0.7500 0.1508  2 Cr 2.45, 1 Hf 2.62
S 0.7898 0.2500 0.8455  1 Cr 2.54, 2 Hf 2.55
S 0.3079 0.2500 0.6508  2 Cr 2.45, 1 Hf 2.62
S 0.7102 0.7500 0.3455  1 Cr 2.54, 2 Hf 2.55

4.
A relaxed KBC3N3F crystal, computed with GGA-PBE.

Computed properties:
- M_tot (μB per formula unit) = 0.00
- formation energy (eV per atom) = -0.512

Cell: 6.7442 7.5446 7.9334 Å, 112.22 106.55 88.41°
Closest atoms and distances in Å follow each position.
Fractional coordinates of all 18 atoms:
K 0.3357 0.0840 0.2376  1 F 2.89, 6 N 2.98-3.14
K 0.6643 0.9160 0.7624  1 F 2.89, 6 N 2.98-3.14
B 0.1335 0.3744 0.7006  1 F 1.43, 2 C 1.60
B 0.8665 0.6256 0.2994  1 F 1.43, 2 C 1.60
C 0.2790 0.2869 0.8420  1 N 1.17
C 0.7210 0.7131 0.1580  1 N 1.17
C 0.1021 0.5919 0.8204  1 N 1.16
C 0.8979 0.4081 0.1796  1 N 1.16
C 0.9110 0.2535 0.6110  1 N 1.17
C 0.0890 0.7465 0.3890  1 N 1.17
N 0.3827 0.2181 0.9416  1 C 1.17
N 0.6173 0.7819 0.0584  1 C 1.17
N 0.0770 0.7499 0.9068  1 C 1.16
N 0.9230 0.2501 0.0932  1 C 1.16
N 0.7491 0.1655 0.5468  1 C 1.17
N 0.2509 0.8345 0.4532  1 C 1.17
F 0.2234 0.3638 0.5547  1 B 1.43
F 0.7766 0.6362 0.4453  1 B 1.43

5.
A relaxed NaThTi2O6 crystal, computed with GGA-PBE.

Computed properties:
- M_tot (μB per formula unit) = 0.31
- formation energy (eV per atom) = -3.432

Cell: 3.9221 3.9221 7.8063 Å, 90.00 90.00 90.00°
Closest atoms and distances in Å follow each position.
Fractional coordinates of all 10 atoms:
Na 0.5000 0.5000 0.0000  12 O 2.77-2.95
Th 0.5000 0.5000 0.5000  12 O 2.60-2.77
Ti 0.0000 0.0000 0.2440  6 O 1.90-2.00
Ti 0.0000 0.0000 0.7560  6 O 1.90-2.00
O 0.0000 0.5000 0.2817  2 Ti 1.98
O 0.0000 0.5000 0.7183  2 Ti 1.98
O 0.5000 0.0000 0.2817  2 Ti 1.98
O 0.5000 0.0000 0.7183  2 Ti 1.98
O 0.0000 0.0000 0.0000  2 Ti 1.90
O 0.0000 0.0000 0.5000  2 Ti 2.00

| no. | total DFT energy (no corrections) (eV per atom) |
| --- | --- |
| 1 | -5.527 |
| 2 | -4.830 |
| 3 | -6.410 |
| 4 | -7.394 |
| 5 | -8.441 |